1.
The following is a DFT calculation (GGA+U) of Li3Co3SbO8 after structural relaxation.

The total magnetization is 0.13 μB per atom.

Geometry as CIF:
```
data_Li3Co3SbO8
_chemical_formula_sum 'Li6 Co6 Sb2 O16'
_cell_length_a 6.0495
_cell_length_b 6.0582
_cell_length_c 10.4032
_cell_angle_alpha 74.36
_cell_angle_beta 73.31
_cell_angle_gamma 60.18
_symmetry_space_group_name_H-M 'P 1'
_symmetry_Int_Tables_number 1
loop_
_symmetry_equiv_pos_as_xyz
'x,y,z'
loop_
_atom_site_label
_atom_site_type_symbol
_atom_site_fract_x
_atom_site_fract_y
_atom_site_fract_z
Li1 Li 0.0000 0.0000 0.0000
Li2 Li 0.0000 0.0000 0.5000
Li3 Li 0.2456 0.7554 0.2549
Li4 Li 0.5000 0.5000 0.0000
Li5 Li 0.5000 0.5000 0.5000
Li6 Li 0.7544 0.2446 0.7451
Co1 Co 0.0000 0.5000 0.0000
Co2 Co 0.2462 0.2502 0.7507
Co3 Co 0.2500 0.2474 0.2499
Co4 Co 0.5000 0.0000 0.5000
Co5 Co 0.7500 0.7526 0.7501
Co6 Co 0.7538 0.7498 0.2493
Sb1 Sb 0.0000 0.5000 0.5000
Sb2 Sb 0.5000 0.0000 0.0000
O1 O 0.0885 0.6128 0.1262
O2 O 0.1172 0.6082 0.6223
O3 O 0.1210 0.1496 0.6161
O4 O 0.1551 0.1098 0.1210
O5 O 0.3516 0.3733 0.3828
O6 O 0.3566 0.3595 0.8910
O7 O 0.3826 0.8930 0.8771
O8 O 0.4125 0.8804 0.3719
O9 O 0.5875 0.1196 0.6281
O10 O 0.6174 0.1070 0.1229
O11 O 0.6434 0.6405 0.1090
O12 O 0.6484 0.6267 0.6172
O13 O 0.8449 0.8902 0.8790
O14 O 0.8790 0.8504 0.3839
O15 O 0.8828 0.3918 0.3777
O16 O 0.9115 0.3872 0.8738
```


2.
The following is a DFT calculation (GGA+U) of Li3Co3SbO8 after structural relaxation.

The total magnetization is 0.47 μB per atom.

Geometry as CIF:
```
data_Li3Co3SbO8
_chemical_formula_sum 'Li3 Co3 Sb1 O8'
_cell_length_a 6.0005
_cell_length_b 6.0305
_cell_length_c 6.0443
_cell_angle_alpha 119.59
_cell_angle_beta 90.66
_cell_angle_gamma 119.36
_symmetry_space_group_name_H-M 'P 1'
_symmetry_Int_Tables_number 1
loop_
_symmetry_equiv_pos_as_xyz
'x,y,z'
loop_
_atom_site_label
_atom_site_type_symbol
_atom_site_fract_x
_atom_site_fract_y
_atom_site_fract_z
Li1 Li 0.0000 0.0000 0.0000
Li2 Li 0.0000 0.5000 0.5000
Li3 Li 0.5000 0.0000 0.0000
Co1 Co 0.0000 0.0000 0.5000
Co2 Co 0.5000 0.0000 0.5000
Co3 Co 0.5000 0.5000 0.0000
Sb1 Sb 0.0000 0.5000 0.0000
O1 O 0.2123 0.9695 0.2599
O2 O 0.2257 0.5025 0.2440
O3 O 0.2640 0.0587 0.7490
O4 O 0.2656 0.5313 0.7990
O5 O 0.7344 0.4687 0.2010
O6 O 0.7360 0.9413 0.2510
O7 O 0.7743 0.4975 0.7560
O8 O 0.7877 0.0305 0.7401
```


Q: What are the energies relative to the best structure? A: 1 6; 2 0, in meV per atom.


1.
The following is a DFT calculation (GGA+U) of Li2CrO4 after structural relaxation.

The total magnetization is 0.00 μB per atom. As for the piezoelectric modulus e_max: 0.71 C/m2.

Geometry as CIF:
```
data_Li2CrO4
_chemical_formula_sum 'Li4 Cr2 O8'
_cell_length_a 6.6592
_cell_length_b 5.3615
_cell_length_c 5.0682
_cell_angle_alpha 90.00
_cell_angle_beta 90.00
_cell_angle_gamma 90.00
_symmetry_space_group_name_H-M 'P 1'
_symmetry_Int_Tables_number 1
loop_
_symmetry_equiv_pos_as_xyz
'x,y,z'
loop_
_atom_site_label
_atom_site_type_symbol
_atom_site_fract_x
_atom_site_fract_y
_atom_site_fract_z
Li1 Li 0.2464 0.1780 0.0000
Li2 Li 0.2536 0.8220 0.5000
Li3 Li 0.7464 0.8220 0.5000
Li4 Li 0.7536 0.1780 0.0000
Cr1 Cr 0.0000 0.6781 0.0092
Cr2 Cr 0.5000 0.3219 0.5092
O1 O 0.0000 0.3789 0.9234
O2 O 0.0000 0.7039 0.3361
O3 O 0.2032 0.8217 0.8918
O4 O 0.2968 0.1783 0.3918
O5 O 0.5000 0.2961 0.8361
O6 O 0.5000 0.6211 0.4234
O7 O 0.7032 0.1783 0.3918
O8 O 0.7968 0.8217 0.8918
```


2.
The following is a DFT calculation (GGA+U) of Li2CrO4 after structural relaxation.

Geometry as CIF:
```
data_Li2CrO4
_chemical_formula_sum 'Li12 Cr6 O24'
_cell_length_a 8.7893
_cell_length_b 8.7893
_cell_length_c 8.7893
_cell_angle_alpha 107.74
_cell_angle_beta 107.74
_cell_angle_gamma 107.74
_symmetry_space_group_name_H-M 'P 1'
_symmetry_Int_Tables_number 1
loop_
_symmetry_equiv_pos_as_xyz
'x,y,z'
loop_
_atom_site_label
_atom_site_type_symbol
_atom_site_fract_x
_atom_site_fract_y
_atom_site_fract_z
Li1 Li 0.1041 0.2764 0.8774
Li2 Li 0.1226 0.8959 0.7236
Li3 Li 0.2052 0.4390 0.6123
Li4 Li 0.2764 0.8774 0.1041
Li5 Li 0.3877 0.7948 0.5610
Li6 Li 0.4390 0.6123 0.2052
Li7 Li 0.5610 0.3877 0.7948
Li8 Li 0.6123 0.2052 0.4390
Li9 Li 0.7236 0.1226 0.8959
Li10 Li 0.7948 0.5610 0.3877
Li11 Li 0.8774 0.1041 0.2764
Li12 Li 0.8959 0.7236 0.1226
Cr1 Cr 0.0523 0.4595 0.2343
Cr2 Cr 0.2343 0.0523 0.4595
Cr3 Cr 0.4595 0.2343 0.0523
Cr4 Cr 0.5405 0.7657 0.9477
Cr5 Cr 0.7657 0.9477 0.5405
Cr6 Cr 0.9477 0.5405 0.7657
O1 O 0.0245 0.6927 0.9730
O2 O 0.0270 0.9755 0.3073
O3 O 0.0358 0.3571 0.3640
O4 O 0.0705 0.4292 0.7586
O5 O 0.2414 0.9295 0.5708
O6 O 0.2646 0.6009 0.3100
O7 O 0.3073 0.0270 0.9755
O8 O 0.3100 0.2646 0.6009
O9 O 0.3571 0.3640 0.0358
O10 O 0.3640 0.0358 0.3571
O11 O 0.3991 0.6900 0.7354
O12 O 0.4292 0.7586 0.0705
O13 O 0.5708 0.2414 0.9295
O14 O 0.6009 0.3100 0.2646
O15 O 0.6360 0.9642 0.6429
O16 O 0.6429 0.6360 0.9642
O17 O 0.6900 0.7354 0.3991
O18 O 0.6927 0.9730 0.0245
O19 O 0.7354 0.3991 0.6900
O20 O 0.7586 0.0705 0.4292
O21 O 0.9295 0.5708 0.2414
O22 O 0.9642 0.6429 0.6360
O23 O 0.9730 0.0245 0.6927
O24 O 0.9755 0.3073 0.0270
```


Q: What are the energies relative to the best structure? A: 1 20; 2 0, in meV per atom.


1.
The following is a DFT calculation (GGA+U) of LiTiFeO4 after structural relaxation.

The total magnetization is 0.00 μB per atom.

Geometry as CIF:
```
data_LiTiFeO4
_chemical_formula_sum 'Li4 Ti4 Fe4 O16'
_cell_length_a 5.9680
_cell_length_b 5.9907
_cell_length_c 8.4885
_cell_angle_alpha 90.00
_cell_angle_beta 90.00
_cell_angle_gamma 90.39
_symmetry_space_group_name_H-M 'P 1'
_symmetry_Int_Tables_number 1
loop_
_symmetry_equiv_pos_as_xyz
'x,y,z'
loop_
_atom_site_label
_atom_site_type_symbol
_atom_site_fract_x
_atom_site_fract_y
_atom_site_fract_z
O1 O 0.7515 0.7173 0.4946
O2 O 0.2485 0.2827 0.5054
O3 O 0.0162 0.4989 0.7319
O4 O 0.9838 0.5011 0.2681
O5 O 0.9838 0.0011 0.2319
O6 O 0.5162 0.9989 0.2319
O7 O 0.7515 0.2173 0.0054
O8 O 0.2515 0.7173 0.5054
O9 O 0.2485 0.7827 0.9946
O10 O 0.7485 0.2827 0.4946
O11 O 0.0162 0.9989 0.7681
O12 O 0.4838 0.5011 0.7319
O13 O 0.4838 0.0011 0.7681
O14 O 0.2515 0.2173 0.9946
O15 O 0.7485 0.7827 0.0054
O16 O 0.5162 0.4989 0.2681
Ti1 Ti 0.5000 0.0000 0.0000
Ti2 Ti 0.0000 0.5000 0.5000
Ti3 Ti 0.5000 0.5000 0.5000
Ti4 Ti 0.0000 0.0000 0.0000
Li1 Li 0.2500 0.7500 0.2500
Li2 Li 0.2500 0.2500 0.2500
Li3 Li 0.7500 0.2500 0.7500
Li4 Li 0.7500 0.7500 0.7500
Fe1 Fe 0.2500 0.2500 0.7500
Fe2 Fe 0.7500 0.2500 0.2500
Fe3 Fe 0.7500 0.7500 0.2500
Fe4 Fe 0.2500 0.7500 0.7500
```


2.
The following is a DFT calculation (GGA+U) of LiTiFeO4 after structural relaxation.

The total magnetization is 0.71 μB per atom.

Geometry as CIF:
```
data_LiTiFeO4
_chemical_formula_sum 'Li1 Ti1 Fe1 O4'
_cell_length_a 5.4616
_cell_length_b 5.4616
_cell_length_c 5.4616
_cell_angle_alpha 138.32
_cell_angle_beta 136.93
_cell_angle_gamma 61.49
_symmetry_space_group_name_H-M 'P 1'
_symmetry_Int_Tables_number 1
loop_
_symmetry_equiv_pos_as_xyz
'x,y,z'
loop_
_atom_site_label
_atom_site_type_symbol
_atom_site_fract_x
_atom_site_fract_y
_atom_site_fract_z
Li1 Li 0.0000 0.0000 0.0000
Ti1 Ti 0.7152 0.2152 0.5000
Fe1 Fe 0.4559 0.4559 0.0000
O1 O 0.2356 0.2356 0.0000
O2 O 0.5006 0.0006 0.5000
O3 O 0.6788 0.6788 0.0000
O4 O 0.9239 0.4239 0.5000
```


3.
The following is a DFT calculation (GGA+U) of LiTiFeO4 after structural relaxation.

The total magnetization is 0.00 μB per atom.

Geometry as CIF:
```
data_LiTiFeO4
_chemical_formula_sum 'Li4 Ti4 Fe4 O16'
_cell_length_a 5.9646
_cell_length_b 6.0099
_cell_length_c 8.4919
_cell_angle_alpha 90.00
_cell_angle_beta 90.00
_cell_angle_gamma 90.00
_symmetry_space_group_name_H-M 'P 1'
_symmetry_Int_Tables_number 1
loop_
_symmetry_equiv_pos_as_xyz
'x,y,z'
loop_
_atom_site_label
_atom_site_type_symbol
_atom_site_fract_x
_atom_site_fract_y
_atom_site_fract_z
Ti1 Ti 0.2500 0.7500 0.2500
Ti2 Ti 0.7500 0.7500 0.2500
Ti3 Ti 0.7500 0.2500 0.7500
Ti4 Ti 0.2500 0.2500 0.7500
Fe1 Fe 0.0000 0.5000 0.5000
Fe2 Fe 0.5000 0.0000 0.0000
Fe3 Fe 0.0000 0.0000 0.5000
Fe4 Fe 0.5000 0.5000 0.0000
O1 O 0.5000 0.5292 0.2435
O2 O 0.5000 0.0292 0.7565
O3 O 0.5000 0.4708 0.7565
O4 O 0.0000 0.5292 0.2565
O5 O 0.2281 0.2500 0.5184
O6 O 0.2719 0.2500 0.9816
O7 O 0.5000 0.9708 0.2435
O8 O 0.2719 0.7500 0.0185
O9 O 0.7281 0.7500 0.0184
O10 O 0.0000 0.4708 0.7435
O11 O 0.7719 0.7500 0.4816
O12 O 0.7719 0.2500 0.5184
O13 O 0.0000 0.0292 0.7435
O14 O 0.0000 0.9708 0.2565
O15 O 0.7281 0.2500 0.9816
O16 O 0.2281 0.7500 0.4816
Li1 Li 0.0000 0.2500 0.1206
Li2 Li 0.5000 0.2500 0.3794
Li3 Li 0.0000 0.7500 0.8794
Li4 Li 0.5000 0.7500 0.6206
```


Q: What are the energies relative to the best structure? A: 1 74; 2 55; 3 0, in meV per atom.


1.
The following is a DFT calculation (GGA+U) of NaLi5Fe2P2C2O14 after structural relaxation.

The total magnetization is 0.31 μB per atom.

Geometry as CIF:
```
data_NaLi5Fe2P2C2O14
_chemical_formula_sum 'Na2 Li10 Fe4 P4 C4 O28'
_cell_length_a 5.0187
_cell_length_b 8.6238
_cell_length_c 13.0900
_cell_angle_alpha 90.50
_cell_angle_beta 90.00
_cell_angle_gamma 92.54
_symmetry_space_group_name_H-M 'P 1'
_symmetry_Int_Tables_number 1
loop_
_symmetry_equiv_pos_as_xyz
'x,y,z'
loop_
_atom_site_label
_atom_site_type_symbol
_atom_site_fract_x
_atom_site_fract_y
_atom_site_fract_z
Na1 Na 0.0000 0.0000 0.0000
Na2 Na 0.4932 0.8320 0.6217
Li1 Li 0.0023 0.3520 0.6270
Li2 Li 0.0075 0.3552 0.3638
Li3 Li 0.0164 0.3517 0.8666
Li4 Li 0.0166 0.3559 0.1330
Li5 Li 0.4722 0.8142 0.8838
Li6 Li 0.4831 0.8200 0.1205
Li7 Li 0.4854 0.8161 0.3780
Li8 Li 0.4950 0.1714 0.2478
Li9 Li 0.4969 0.1784 0.7522
Li10 Li 0.9973 0.0020 0.4910
Fe1 Fe 0.0198 0.7335 0.7486
Fe2 Fe 0.0331 0.7378 0.2488
Fe3 Fe 0.4576 0.4331 0.4969
Fe4 Fe 0.4695 0.4361 0.9980
P1 P 0.5360 0.4942 0.7485
P2 P 0.5400 0.4954 0.2490
P3 P 0.9476 0.6763 0.4945
P4 P 0.9540 0.6688 0.9984
C1 C 0.5155 0.1356 0.9979
C2 C 0.5291 0.1320 0.4923
C3 C 0.9658 0.0437 0.2459
C4 C 0.9782 0.0442 0.7502
O1 O 0.0234 0.7766 0.5903
O2 O 0.0520 0.5011 0.9972
O3 O 0.0559 0.7619 0.0938
O4 O 0.0598 0.5121 0.4977
O5 O 0.0602 0.7643 0.9063
O6 O 0.0626 0.7755 0.4037
O7 O 0.2091 0.9982 0.2453
O8 O 0.2230 0.0018 0.7492
O9 O 0.2837 0.1742 0.4965
O10 O 0.2870 0.2012 0.9967
O11 O 0.4273 0.6587 0.7561
O12 O 0.4315 0.4022 0.6526
O13 O 0.4363 0.3970 0.1559
O14 O 0.4363 0.3969 0.3416
O15 O 0.4367 0.6618 0.2488
O16 O 0.4414 0.3894 0.8387
O17 O 0.5262 0.9853 0.9991
O18 O 0.5847 0.9876 0.4820
O19 O 0.6384 0.6588 0.4848
O20 O 0.6406 0.6618 0.9976
O21 O 0.7244 0.2368 0.4989
O22 O 0.7305 0.2250 0.9980
O23 O 0.7674 0.9414 0.2438
O24 O 0.7852 0.9384 0.7552
O25 O 0.8479 0.5082 0.7461
O26 O 0.8518 0.5076 0.2493
O27 O 0.9169 0.1910 0.2482
O28 O 0.9201 0.1898 0.7470
```


2.
The following is a DFT calculation (GGA+U) of NaLi5Fe2P2C2O14 after structural relaxation.

The total magnetization is 0.31 μB per atom.

Geometry as CIF:
```
data_NaLi5Fe2P2C2O14
_chemical_formula_sum 'Na2 Li10 Fe4 P4 C4 O28'
_cell_length_a 8.5553
_cell_length_b 6.5538
_cell_length_c 10.1868
_cell_angle_alpha 90.00
_cell_angle_beta 95.47
_cell_angle_gamma 90.00
_symmetry_space_group_name_H-M 'P 1'
_symmetry_Int_Tables_number 1
loop_
_symmetry_equiv_pos_as_xyz
'x,y,z'
loop_
_atom_site_label
_atom_site_type_symbol
_atom_site_fract_x
_atom_site_fract_y
_atom_site_fract_z
Na1 Na 0.0000 0.2465 0.0000
Na2 Na 0.0000 0.7535 0.5000
Li1 Li 0.0244 0.2202 0.5073
Li2 Li 0.0244 0.7798 0.0073
Li3 Li 0.4581 0.2790 0.2590
Li4 Li 0.4581 0.7210 0.7590
Li5 Li 0.4652 0.2690 0.7629
Li6 Li 0.4652 0.7310 0.2629
Li7 Li 0.6460 0.4806 0.5119
Li8 Li 0.6460 0.5194 0.0119
Li9 Li 0.8386 0.0128 0.2481
Li10 Li 0.8386 0.9872 0.7481
Fe1 Fe 0.0751 0.4949 0.7414
Fe2 Fe 0.0751 0.5051 0.2414
Fe3 Fe 0.4096 0.0035 0.0314
Fe4 Fe 0.4096 0.9965 0.5314
P1 P 0.1544 0.0043 0.2770
P2 P 0.1544 0.9957 0.7770
P3 P 0.3303 0.4911 0.4995
P4 P 0.3303 0.5089 0.9995
C1 C 0.7029 0.0070 0.4791
C2 C 0.7029 0.9930 0.9791
C3 C 0.7722 0.4938 0.2801
C4 C 0.7722 0.5062 0.7801
O1 O 0.0455 0.1803 0.7309
O2 O 0.0455 0.8197 0.2309
O3 O 0.0546 0.1920 0.2248
O4 O 0.0546 0.8081 0.7248
O5 O 0.1673 0.4684 0.5503
O6 O 0.1673 0.5316 0.0503
O7 O 0.1772 0.0129 0.4305
O8 O 0.1772 0.9871 0.9305
O9 O 0.3109 0.5000 0.3453
O10 O 0.3109 0.5000 0.8453
O11 O 0.3159 0.0065 0.7228
O12 O 0.3159 0.9935 0.2228
O13 O 0.4200 0.3164 0.0564
O14 O 0.4200 0.6836 0.5564
O15 O 0.4429 0.3122 0.5475
O16 O 0.4429 0.6878 0.0475
O17 O 0.5840 0.0102 0.8887
O18 O 0.5840 0.9898 0.3887
O19 O 0.6285 0.4953 0.3120
O20 O 0.6285 0.5047 0.8120
O21 O 0.6756 0.0022 0.1019
O22 O 0.6756 0.9978 0.6019
O23 O 0.8055 0.4918 0.1589
O24 O 0.8055 0.5082 0.6589
O25 O 0.8429 0.0333 0.4441
O26 O 0.8429 0.9667 0.9441
O27 O 0.8876 0.4947 0.3734
O28 O 0.8876 0.5053 0.8734
```


Q: What are the energies relative to the best structure? A: 1 11; 2 0, in meV per atom.